Na26Ge14Au41 | PBE-GGA | relaxed

The calculated formation energy is -0.320 eV/atom. As for the space group: Immm, No. 71. The magnetization is 0.00 μB/f.u. The electronic total energy comes out at -0.1176 Ha/atom.

Lattice parameters (Å, degrees): 12.889 12.889 12.889 109.62 109.55 109.24
Sites, in units of the cell vectors:
Na (0.000, 0.302, 0.302)
Na (0.000, 0.698, 0.698)
Na (0.078, 0.889, 0.189)
Na (0.120, 0.000, 0.500)
Na (0.120, 0.620, 0.120)
Na (0.191, 0.579, 0.388)
Na (0.191, 0.803, 0.612)
Na (0.195, 0.195, 0.000)
Na (0.300, 0.111, 0.189)
Na (0.306, 0.500, 0.806)
Na (0.389, 0.311, 0.700)
Na (0.389, 0.689, 0.078)
Na (0.500, 0.000, 0.120)
Na (0.500, 0.000, 0.880)
Na (0.500, 0.380, 0.500)
Na (0.500, 0.620, 0.500)
Na (0.611, 0.311, 0.922)
Na (0.611, 0.689, 0.300)
Na (0.694, 0.500, 0.194)
Na (0.700, 0.889, 0.811)
Na (0.805, 0.805, 0.000)
Na (0.809, 0.197, 0.388)
Na (0.809, 0.421, 0.612)
Na (0.880, 0.000, 0.500)
Na (0.880, 0.380, 0.880)
Na (0.922, 0.111, 0.811)
Ge (0.006, 0.306, 0.700)
Ge (0.090, 0.500, 0.590)
Ge (0.192, 0.199, 0.392)
Ge (0.192, 0.801, 0.993)
Ge (0.301, 0.109, 0.808)
Ge (0.301, 0.493, 0.192)
Ge (0.395, 0.694, 0.700)
Ge (0.605, 0.306, 0.300)
Ge (0.699, 0.507, 0.808)
Ge (0.699, 0.891, 0.192)
Ge (0.808, 0.199, 0.007)
Ge (0.808, 0.801, 0.608)
Ge (0.910, 0.500, 0.410)
Ge (0.994, 0.694, 0.300)
Au (0.000, 0.093, 0.093)
Au (0.000, 0.907, 0.907)
Au (0.049, 0.336, 0.092)
Au (0.049, 0.957, 0.713)
Au (0.091, 0.259, 0.544)
Au (0.091, 0.548, 0.832)
Au (0.164, 0.213, 0.756)
Au (0.164, 0.409, 0.951)
Au (0.232, 0.835, 0.397)
Au (0.244, 0.336, 0.287)
Au (0.244, 0.957, 0.908)
Au (0.284, 0.452, 0.544)
Au (0.284, 0.741, 0.832)
Au (0.335, 0.104, 0.438)
Au (0.335, 0.896, 0.231)
Au (0.397, 0.062, 0.665)
Au (0.397, 0.731, 0.335)
Au (0.408, 0.408, 0.000)
Au (0.438, 0.835, 0.603)
Au (0.457, 0.213, 0.049)
Au (0.457, 0.409, 0.244)
Au (0.500, 0.000, 0.500)
Au (0.543, 0.591, 0.756)
Au (0.543, 0.787, 0.951)
Au (0.562, 0.165, 0.397)
Au (0.592, 0.592, 0.000)
Au (0.603, 0.269, 0.665)
Au (0.603, 0.938, 0.335)
Au (0.665, 0.104, 0.769)
Au (0.665, 0.896, 0.562)
Au (0.716, 0.259, 0.168)
Au (0.716, 0.548, 0.456)
Au (0.756, 0.043, 0.092)
Au (0.756, 0.664, 0.713)
Au (0.768, 0.165, 0.603)
Au (0.836, 0.591, 0.049)
Au (0.836, 0.787, 0.244)
Au (0.909, 0.452, 0.168)
Au (0.909, 0.741, 0.456)
Au (0.951, 0.043, 0.287)
Au (0.951, 0.664, 0.908)

---

Na26Ge15Au40 | PBE-GGA | relaxed

The calculated formation energy is -0.318 eV/atom. As for the space group: Imm2, No. 44. The magnetization is 0.00 μB/f.u. The electronic total energy comes out at -0.1181 Ha/atom.

Lattice parameters (Å, degrees): 12.878 12.878 12.878 109.29 108.85 110.28
Sites, in units of the cell vectors:
Na (0.000, 0.000, 0.000)
Na (0.009, 0.395, 0.386)
Na (0.009, 0.622, 0.614)
Na (0.080, 0.199, 0.500)
Na (0.080, 0.580, 0.881)
Na (0.121, 0.315, 0.806)
Na (0.199, 0.508, 0.309)
Na (0.199, 0.890, 0.691)
Na (0.277, 0.084, 0.194)
Na (0.318, 0.199, 0.500)
Na (0.318, 0.818, 0.119)
Na (0.390, 0.003, 0.613)
Na (0.390, 0.776, 0.387)
Na (0.395, 0.395, 0.000)
Na (0.504, 0.701, 0.803)
Na (0.509, 0.315, 0.194)
Na (0.586, 0.507, 0.693)
Na (0.586, 0.893, 0.079)
Na (0.699, 0.199, 0.881)
Na (0.699, 0.818, 0.500)
Na (0.700, 0.199, 0.119)
Na (0.700, 0.580, 0.500)
Na (0.814, 0.507, 0.921)
Na (0.814, 0.893, 0.307)
Na (0.890, 0.084, 0.806)
Na (0.898, 0.701, 0.197)
Ge (0.005, 0.000, 0.606)
Ge (0.005, 0.398, 0.005)
Ge (0.191, 0.890, 0.301)
Ge (0.199, 0.105, 0.906)
Ge (0.199, 0.293, 0.094)
Ge (0.208, 0.508, 0.700)
Ge (0.393, 0.000, 0.995)
Ge (0.393, 0.398, 0.394)
Ge (0.501, 0.308, 0.806)
Ge (0.501, 0.695, 0.194)
Ge (0.589, 0.890, 0.699)
Ge (0.604, 0.604, 0.000)
Ge (0.808, 0.508, 0.300)
Ge (0.897, 0.088, 0.191)
Ge (0.897, 0.706, 0.809)
Au (0.035, 0.791, 0.049)
Au (0.035, 0.986, 0.244)
Au (0.107, 0.699, 0.408)
Au (0.109, 0.650, 0.163)
Au (0.109, 0.945, 0.458)
Au (0.151, 0.243, 0.283)
Au (0.151, 0.869, 0.908)
Au (0.247, 0.156, 0.718)
Au (0.247, 0.529, 0.091)
Au (0.290, 0.453, 0.543)
Au (0.290, 0.699, 0.592)
Au (0.290, 0.748, 0.837)
Au (0.368, 0.415, 0.758)
Au (0.368, 0.610, 0.953)
Au (0.430, 0.033, 0.397)
Au (0.438, 0.156, 0.909)
Au (0.438, 0.529, 0.282)
Au (0.487, 0.650, 0.542)
Au (0.487, 0.945, 0.837)
Au (0.534, 0.097, 0.232)
Au (0.534, 0.302, 0.437)
Au (0.597, 0.261, 0.664)
Au (0.597, 0.932, 0.336)
Au (0.637, 0.033, 0.603)
Au (0.657, 0.415, 0.047)
Au (0.657, 0.610, 0.242)
Au (0.700, 0.200, 0.500)
Au (0.742, 0.791, 0.756)
Au (0.742, 0.986, 0.951)
Au (0.762, 0.365, 0.397)
Au (0.777, 0.777, 0.000)
Au (0.803, 0.137, 0.335)
Au (0.803, 0.468, 0.665)
Au (0.865, 0.097, 0.563)
Au (0.865, 0.302, 0.768)
Au (0.911, 0.453, 0.163)
Au (0.911, 0.748, 0.457)
Au (0.961, 0.243, 0.092)
Au (0.961, 0.869, 0.717)
Au (0.968, 0.365, 0.603)